The following is a DFT calculation (PBE) of a relaxed K2ScPCO7 crystal.

## Properties
Total DFT energy (no corrections) in eV per formula unit: -86.1
Symmetry: No. 11
Size of the total moment in μB per formula unit: 0.0

```
K2ScPCO7
1.0
-5.333 -0.423 4.375
3.243 -2.966 3.666
2.921 8.257 4.360
O K C Sc P
14 4 2 2 2
Direct
0.250 0.297 0.970
0.936 0.238 0.349
0.250 0.065 0.160
0.250 0.457 0.520
0.750 0.552 0.817
0.750 0.118 0.563
0.436 0.762 0.651
0.250 0.448 0.183
0.750 0.703 0.030
0.064 0.762 0.651
0.750 0.935 0.840
0.250 0.882 0.437
0.750 0.543 0.480
0.564 0.238 0.349
0.517 0.753 0.234
0.983 0.753 0.234
0.017 0.247 0.766
0.483 0.247 0.766
0.250 0.270 0.097
0.750 0.730 0.903
0.750 0.776 0.639
0.250 0.224 0.361
0.750 0.282 0.433
0.250 0.718 0.567
```